Here is crystalline Li7Cu6O12 at its relaxed geometry from the Materials Project. Energies are from PBE-GGA.

```
Li7Cu6O12
1.0
5.213 0.000 0.000
-1.167 6.757 0.000
-2.195 -2.044 7.692
Li Cu O
7 6 12
Cartesian
0.000 0.000 0.000
-0.737 -0.597 2.550
-1.974 0.704 7.022
-1.243 1.395 4.461
3.094 3.317 3.232
3.825 4.008 0.670
2.588 5.309 5.142
-0.453 3.398 6.687
1.039 4.784 1.590
0.314 4.111 4.134
1.537 0.601 3.559
0.812 -0.071 6.102
2.303 1.314 1.006
-0.481 4.121 2.444
-1.154 3.312 4.947
-1.891 2.587 7.580
0.012 -0.083 4.410
-0.695 -0.753 6.988
0.852 0.491 1.838
0.999 4.221 5.855
2.545 5.466 0.704
1.839 4.795 3.282
3.742 2.125 0.112
3.005 1.401 2.745
2.331 0.592 5.248
```

## Properties
Energy in eV per formula unit: -126.1
Formation energy in eV per atom: -1.48
Spin magnetization in μB/f.u.: 0.291
Calculated volume in Å³ per atom: 10.84
SG: P-1, No. 2

***

Here is crystalline Sr5U5O19 at its relaxed geometry from the Materials Project. Energies are from PBE-GGA.

```
Sr5U5O19
1.0
6.366 -2.007 0.000
6.366 2.007 0.000
-3.284 0.000 16.886
Sr U O
5 5 19
Cartesian
0.000 0.000 0.000
1.133 0.000 6.769
2.349 0.000 13.495
6.707 0.000 3.360
8.117 0.000 10.146
-1.137 0.000 11.807
3.436 0.000 1.547
4.648 0.000 8.510
5.832 0.000 15.088
10.375 0.000 5.253
-0.426 0.000 4.726
1.480 0.000 2.154
-0.242 0.000 13.939
-0.699 0.000 16.404
0.830 0.000 11.446
2.675 0.000 8.819
4.067 0.000 3.634
3.744 0.000 6.270
5.451 0.000 1.190
3.898 0.000 15.513
4.953 0.000 13.022
5.519 0.000 10.601
6.609 0.000 8.087
8.386 0.000 5.337
9.969 0.000 0.867
7.804 0.000 14.901
9.628 0.000 12.203
10.714 0.000 9.697
11.274 0.000 7.266
```

## Properties
Energy in eV per formula unit: -252.4
ΔE to the lowest computed polymorph in eV/atom: 0.031
Formation energy in eV per atom: -3.67
Spin magnetization in μB/f.u.: 1.999
Calculated volume in Å³ per atom: 14.88
SG: Cm, No. 8

***

Here is crystalline SmU2Se5 at its relaxed geometry from the Materials Project. Energies are from PBE-GGA.

```
SmU2Se5
1.0
12.319 0.000 0.000
0.000 7.775 0.000
0.000 0.000 8.303
Sm U Se
4 8 20
Cartesian
2.212 0.197 0.000
3.948 4.085 4.151
8.372 3.690 0.000
10.107 7.577 4.151
0.088 4.481 6.194
2.212 0.183 4.133
3.948 4.070 8.285
6.071 0.593 2.043
6.248 7.181 6.194
8.371 3.705 4.133
10.107 7.592 8.285
12.231 3.294 2.043
12.318 0.304 2.068
0.001 7.471 6.219
1.185 5.213 3.742
1.218 5.165 0.341
2.294 2.569 6.209
2.677 2.360 2.062
3.482 6.247 6.213
3.866 6.456 2.057
4.942 1.277 4.492
4.975 1.326 7.894
6.159 3.584 2.068
6.160 4.191 6.219
7.344 6.449 3.742
7.377 6.497 0.341
8.453 1.318 6.209
8.837 1.528 2.062
9.642 5.415 6.213
10.025 5.206 2.057
11.101 2.610 4.492
11.134 2.561 7.894
```

## Properties
Energy in eV per formula unit: -55.8
ΔE to the lowest computed polymorph in eV/atom: 0.000
Formation energy in eV per atom: -1.67
Calculated volume in Å³ per atom: 24.85
SG: Pna2_1, No. 33

***

Here is crystalline CaAgHg2 at its relaxed geometry from the Materials Project. Energies are from PBE-GGA.

```
CaAgHg2
1.0
0.000 3.613 3.613
3.613 0.000 3.613
3.613 3.613 0.000
Ca Ag Hg
1 1 2
Cartesian
0.000 0.000 0.000
3.613 3.613 3.613
1.807 1.807 1.807
5.420 5.420 5.420
```

## Properties
Energy in eV per formula unit: -6.8
Formation energy in eV per atom: -0.33
Calculated volume in Å³ per atom: 23.59
SG: Fm-3m, No. 225

***

Question: Among the records above, which one has the highest energy?
Answer: CaAgHg2